No. 1
Entry from the Materials Project: CaTe after structural relaxation (GGA-PBE).

Cell and atoms, written as POSCAR:
```
CaTe
1.0
-0.393 -1.039 -3.766
1.606 -3.493 0.796
-3.561 -1.461 0.775
Ca Te
1 1
direct
0.000 0.000 0.000 Ca
0.500 0.500 0.500 Te
```

ρ, g/cm3: 4.601
SG: Pm-3m, No. 221
M_tot, μB per formula unit: 0.00
MP2020-corrected energy, eV/cell: -8.2
DFT total energy, eV per atom: -3.9105



No. 2
Entry from the Materials Project: Eu5Sn3H after structural relaxation (GGA-PBE).

Cell and atoms, written as POSCAR:
```
Eu5Sn3H
1.0
1.237 9.490 1.286
-6.953 2.462 6.232
6.533 -7.069 0.772
Eu Sn H
10 6 2
direct
0.500 0.500 0.000 Eu
0.000 0.000 0.000 Eu
0.514 0.014 0.830 Eu
0.184 0.684 0.170 Eu
0.014 0.184 0.500 Eu
0.684 0.514 0.500 Eu
0.486 0.986 0.170 Eu
0.816 0.316 0.830 Eu
0.986 0.816 0.500 Eu
0.316 0.486 0.500 Eu
0.250 0.250 0.000 Sn
0.750 0.750 0.000 Sn
0.876 0.376 0.252 Sn
0.124 0.624 0.748 Sn
0.376 0.124 0.500 Sn
0.624 0.876 0.500 Sn
0.250 0.750 0.500 H
0.750 0.250 0.500 H
```

ρ, g/cm3: 6.912
SG: I4/mcm, No. 140
MP2020-corrected energy, eV/cell: -145.8
DFT total energy, eV per atom: -8.0795



No. 3
Entry from the Materials Project: Ce2HgPb after structural relaxation (GGA-PBE).

Cell and atoms, written as POSCAR:
```
Ce2HgPb
1.0
-4.275 1.620 3.133
-3.616 3.718 -1.954
-5.151 -1.569 -1.315
Ce Hg Pb
2 1 1
direct
0.250 0.250 0.250 Ce
0.750 0.750 0.750 Ce
0.500 0.500 0.500 Hg
0.000 0.000 0.000 Pb
```

ρ, g/cm3: 9.488
SG: Fm-3m, No. 225
DFT total energy, eV per atom: -4.3078



No. 4
Entry from the Materials Project: CaPrAl3O7 after structural relaxation (GGA-PBE).

Cell and atoms, written as POSCAR:
```
CaPrAl3O7
1.0
5.488 -5.593 0.000
5.488 5.593 0.000
0.000 0.000 5.184
Ca Pr Al O
2 2 6 14
direct
0.660 0.660 0.483 Ca
0.340 0.340 0.483 Ca
0.836 0.164 0.509 Pr
0.164 0.836 0.509 Pr
0.854 0.854 0.040 Al
0.641 0.359 0.958 Al
0.146 0.146 0.040 Al
0.359 0.641 0.958 Al
0.500 0.000 0.006 Al
0.000 0.500 0.006 Al
0.862 0.862 0.702 O
0.644 0.356 0.294 O
0.138 0.138 0.702 O
0.356 0.644 0.294 O
0.500 0.500 0.810 O
0.000 0.000 0.186 O
0.664 0.914 0.199 O
0.840 0.408 0.806 O
0.336 0.086 0.199 O
0.160 0.592 0.806 O
0.408 0.840 0.806 O
0.086 0.336 0.199 O
0.592 0.160 0.806 O
0.914 0.664 0.199 O
```

ρ, g/cm3: 3.902
SG: Cmm2, No. 35
M_tot, μB per formula unit: 0.00
MP2020-corrected energy, eV/cell: -190.4
DFT total energy, eV per atom: -7.5317



No. 5
Entry from the Materials Project: Li2AgF3 after structural relaxation (GGA-PBE).

Cell and atoms, written as POSCAR:
```
Li2AgF3
1.0
4.434 1.492 2.621
-4.726 0.627 2.455
0.430 -4.953 2.092
Li Ag F
4 2 6
direct
0.833 0.167 0.000 Li
0.833 0.167 0.500 Li
0.167 0.833 0.000 Li
0.167 0.833 0.500 Li
0.468 0.468 0.750 Ag
0.532 0.532 0.250 Ag
0.518 0.099 0.250 F
0.058 0.058 0.750 F
0.901 0.482 0.750 F
0.099 0.518 0.250 F
0.942 0.942 0.250 F
0.482 0.901 0.750 F
```

ρ, g/cm3: 4.343
SG: Cmcm, No. 63
M_tot, μB per formula unit: 0.00
MP2020-corrected energy, eV/cell: -54.0
DFT total energy, eV per atom: -4.2686



No. 6
Entry from the Materials Project: Cs2RbLaCl6 after structural relaxation (GGA-PBE).

Cell and atoms, written as POSCAR:
```
Cs2RbLaCl6
1.0
0.000 5.928 5.928
5.928 0.000 5.928
5.928 5.928 0.000
Cs Rb La Cl
2 1 1 6
direct
0.750 0.750 0.750 Cs
0.250 0.250 0.250 Cs
0.500 0.500 0.500 Rb
0.000 0.000 0.000 La
0.766 0.234 0.234 Cl
0.234 0.234 0.766 Cl
0.234 0.766 0.766 Cl
0.234 0.766 0.234 Cl
0.766 0.234 0.766 Cl
0.766 0.766 0.234 Cl
```

ρ, g/cm3: 2.801
SG: Fm-3m, No. 225
M_tot, μB per formula unit: 0.00
MP2020-corrected energy, eV/cell: -43.9
DFT total energy, eV per atom: -4.0245



No. 7
Entry from the Materials Project: Sc5Sb3 after structural relaxation (GGA-PBE).

Cell and atoms, written as POSCAR:
```
Sc5Sb3
1.0
7.622 0.000 0.000
0.000 8.773 0.000
0.000 0.000 11.171
Sc Sb
20 12
direct
0.027 0.250 0.511 Sc
0.973 0.750 0.489 Sc
0.473 0.750 0.011 Sc
0.527 0.250 0.989 Sc
0.353 0.250 0.284 Sc
0.647 0.750 0.716 Sc
0.147 0.750 0.784 Sc
0.853 0.250 0.216 Sc
0.187 0.250 0.779 Sc
0.813 0.750 0.221 Sc
0.313 0.750 0.279 Sc
0.687 0.250 0.721 Sc
0.196 0.062 0.061 Sc
0.804 0.938 0.939 Sc
0.304 0.938 0.561 Sc
0.804 0.562 0.939 Sc
0.696 0.062 0.439 Sc
0.196 0.438 0.061 Sc
0.696 0.438 0.439 Sc
0.304 0.562 0.561 Sc
0.412 0.250 0.540 Sb
0.588 0.750 0.460 Sb
0.088 0.750 0.040 Sb
0.912 0.250 0.960 Sb
0.066 0.004 0.327 Sb
0.934 0.996 0.673 Sb
0.434 0.996 0.827 Sb
0.934 0.504 0.673 Sb
0.566 0.004 0.173 Sb
0.066 0.496 0.327 Sb
0.566 0.496 0.173 Sb
0.434 0.504 0.827 Sb
```

ρ, g/cm3: 5.247
SG: Pnma, No. 62
MP2020-corrected energy, eV/cell: -206.0
DFT total energy, eV per atom: -6.3659



No. 8
Entry from the Materials Project: Y3Pb4F17 after structural relaxation (GGA-PBE).

Cell and atoms, written as POSCAR:
```
Y3Pb4F17
1.0
-2.067 8.944 0.597
-5.370 2.000 -7.231
-8.707 0.577 3.147
Y Pb F
6 8 34
direct
0.470 0.160 0.609 Y
0.606 0.472 0.168 Y
0.841 0.391 0.531 Y
0.187 0.606 0.468 Y
0.392 0.531 0.834 Y
0.523 0.817 0.397 Y
0.900 0.032 0.309 Pb
0.266 0.259 0.262 Pb
0.040 0.311 0.898 Pb
0.694 0.096 0.968 Pb
0.312 0.897 0.041 Pb
0.962 0.690 0.106 Pb
0.743 0.736 0.735 Pb
0.105 0.956 0.685 Pb
0.992 0.997 0.011 F
0.454 0.022 0.177 F
0.138 0.137 0.136 F
0.357 0.042 0.491 F
0.023 0.175 0.454 F
0.255 0.078 0.792 F
0.543 0.262 0.349 F
0.789 0.257 0.086 F
0.494 0.353 0.041 F
0.179 0.450 0.023 F
0.261 0.343 0.547 F
0.700 0.212 0.584 F
0.049 0.488 0.357 F
0.409 0.301 0.789 F
0.342 0.548 0.243 F
0.919 0.208 0.745 F
0.793 0.420 0.299 F
0.195 0.596 0.711 F
0.457 0.564 0.472 F
0.082 0.786 0.259 F
0.652 0.457 0.735 F
0.588 0.713 0.187 F
0.962 0.508 0.644 F
0.273 0.830 0.403 F
0.743 0.651 0.456 F
0.825 0.545 0.977 F
0.512 0.643 0.953 F
0.209 0.743 0.923 F
0.447 0.749 0.660 F
0.740 0.912 0.217 F
0.978 0.821 0.550 F
0.645 0.952 0.511 F
0.865 0.861 0.863 F
0.550 0.978 0.823 F
```

ρ, g/cm3: 6.718
SG: P1, No. 1
MP2020-corrected energy, eV/cell: -304.7
DFT total energy, eV per atom: -6.0202



No. 9
Entry from the Materials Project: Na2GaHgBr6 after structural relaxation (GGA-PBE).

Cell and atoms, written as POSCAR:
```
Na2GaHgBr6
1.0
5.698 -1.443 5.052
2.109 5.427 5.116
-1.630 -0.922 7.521
Na Ga Hg Br
2 1 1 6
direct
0.750 0.750 0.750 Na
0.250 0.250 0.250 Na
0.000 0.000 0.000 Ga
0.500 0.500 0.500 Hg
0.762 0.238 0.238 Br
0.238 0.238 0.762 Br
0.238 0.762 0.762 Br
0.238 0.762 0.238 Br
0.762 0.238 0.762 Br
0.762 0.762 0.238 Br
```

ρ, g/cm3: 4.013
SG: Fm-3m, No. 225
M_tot, μB per formula unit: 0.00
MP2020-corrected energy, eV/cell: -27.3
DFT total energy, eV per atom: -2.4118



No. 10
Entry from the Materials Project: MgAlBi12O20 after structural relaxation (GGA-PBE).

Cell and atoms, written as POSCAR:
```
MgAlBi12O20
1.0
-3.192 3.323 7.722
8.465 -2.720 1.329
0.049 6.568 -6.136
Mg Al Bi O
1 1 12 20
direct
0.829 0.831 0.829 Mg
0.075 0.076 0.075 Al
0.791 0.624 0.452 Bi
0.195 0.707 0.864 Bi
0.834 0.314 0.122 Bi
0.626 0.452 0.791 Bi
0.153 0.310 0.499 Bi
0.706 0.864 0.194 Bi
0.315 0.123 0.835 Bi
0.309 0.499 0.153 Bi
0.451 0.792 0.624 Bi
0.121 0.835 0.313 Bi
0.499 0.151 0.309 Bi
0.865 0.194 0.707 Bi
0.258 0.258 0.259 O
0.849 0.041 0.028 O
0.027 0.850 0.040 O
0.040 0.029 0.850 O
0.627 0.733 0.353 O
0.359 0.739 0.112 O
0.616 0.225 0.869 O
0.733 0.352 0.626 O
0.361 0.248 0.610 O
0.738 0.112 0.358 O
0.226 0.870 0.616 O
0.246 0.609 0.361 O
0.353 0.628 0.734 O
0.869 0.616 0.225 O
0.609 0.360 0.247 O
0.112 0.360 0.739 O
0.628 0.627 0.628 O
0.390 0.994 0.000 O
0.999 0.391 0.994 O
0.994 0.000 0.390 O
```

ρ, g/cm3: 8.274
SG: P1, No. 1
M_tot, μB per formula unit: 0.00
MP2020-corrected energy, eV/cell: -209.1
DFT total energy, eV per atom: -5.7468



No. 11
Entry from the Materials Project: Sm2O after structural relaxation (GGA-PBE).

Cell and atoms, written as POSCAR:
```
Sm2O
1.0
0.143 -6.240 1.742
-4.634 -1.815 4.151
0.168 3.236 -5.612
Sm O
4 2
direct
0.735 0.735 0.000 Sm
0.265 0.265 0.000 Sm
0.015 0.515 0.500 Sm
0.485 0.985 0.500 Sm
0.500 0.500 0.000 O
0.250 0.750 0.500 O
```

ρ, g/cm3: 7.975
SG: I4_1/amd, No. 141
M_tot, μB per formula unit: 0.00
MP2020-corrected energy, eV/cell: -41.2
DFT total energy, eV per atom: -6.6401



No. 12
Entry from the Materials Project: WSCl4 after structural relaxation (GGA-PBE).

Cell and atoms, written as POSCAR:
```
WSCl4
1.0
6.828 -0.347 -0.024
-0.867 8.237 -0.069
-0.534 -1.706 8.189
W S Cl
2 2 8
direct
0.153 0.218 0.762 W
0.847 0.782 0.238 W
0.328 0.288 0.987 S
0.672 0.712 0.013 S
0.840 0.125 0.829 Cl
0.825 0.062 0.328 Cl
0.372 0.271 0.573 Cl
0.039 0.458 0.733 Cl
0.961 0.542 0.267 Cl
0.628 0.729 0.427 Cl
0.175 0.938 0.672 Cl
0.160 0.875 0.171 Cl
```

ρ, g/cm3: 2.599
SG: P-1, No. 2
M_tot, μB per formula unit: 0.00
MP2020-corrected energy, eV/cell: -64.5
DFT total energy, eV per atom: -4.8811